Record 1
LiZr5TlF22 r²SCAN relaxed; raw total energy = -12.06 eV per atom; space-group type = Pnc2 (30); DFT formation energy = -3.8538 eV per atom
1.0
11.5621 0.0000 0.0000
0.0000 8.0325 0.0000
0.0000 0.0000 8.0355
Li Zr Tl F
2 10 2 44
Cartesian
0.0000 0.0000 0.0000
0.0000 4.0162 4.0178
2.9179 1.4478 1.4526
2.9179 2.5684 5.4703
2.9183 5.4627 2.5736
2.9183 6.5860 6.5914
5.7810 0.0000 4.0217
5.7810 4.0162 0.0039
8.6438 1.4464 6.5914
8.6438 2.5698 2.5736
8.6441 5.4640 5.4703
8.6441 6.5847 1.4526
0.0000 0.0000 3.9927
0.0000 4.0162 8.0104
0.9608 1.1275 1.1358
0.9608 2.8888 5.1536
0.9611 5.1487 2.8919
0.9611 6.9001 6.9097
2.4351 0.5619 5.7360
2.4353 1.7118 3.4602
2.4353 2.3044 7.4780
2.4351 3.4544 1.7183
2.4379 4.5780 6.3269
2.4380 5.7288 0.5669
2.4380 6.3199 4.5847
2.4379 7.4707 2.3091
3.4341 0.0015 0.0043
3.4341 4.0148 4.0221
4.6343 0.6898 2.4038
4.6333 1.6166 4.7108
4.6333 2.3996 0.6930
4.6343 3.3264 6.4216
4.6344 4.7051 1.6220
4.6348 5.6347 7.3505
4.6348 6.4140 3.3328
4.6344 7.3436 5.6397
6.9276 0.6888 5.6397
6.9273 1.6185 3.3328
6.9273 2.3977 7.3505
6.9276 3.3274 1.6220
6.9278 4.7060 6.4216
6.9288 5.6329 0.6930
6.9288 6.4158 4.7108
6.9278 7.3427 2.4038
8.1280 8.0310 0.0043
8.1280 4.0177 4.0221
9.1242 0.5618 2.3091
9.1241 1.7126 4.5847
9.1241 2.3037 0.5669
9.1242 3.4544 6.3269
9.1270 4.5781 1.7183
9.1268 5.7280 7.4780
9.1268 6.3207 3.4602
9.1270 7.4706 5.7360
10.6010 1.1324 6.9097
10.6010 2.8838 2.8919
10.6013 5.1437 5.1536
10.6013 6.9050 1.1358

Record 2
LiUF5 r²SCAN relaxed; raw total energy = -17.81 eV per atom; space-group type = I4_1/a (88); DFT formation energy = -3.8202 eV per atom
1.0
-7.4084 7.4084 3.2441
7.4084 -7.4084 3.2441
7.4084 7.4084 -3.2441
Li U F
8 8 40
Cartesian
6.2022 -4.6864 3.0980
1.2062 4.6864 -0.1461
8.3906 2.4980 1.4759
0.9822 2.4980 1.7682
6.4262 4.9104 1.4759
-0.9822 4.9104 1.7682
6.2022 2.7220 3.3903
1.2062 12.0948 0.1461
4.5369 2.7992 -0.0094
6.5034 -0.8327 1.6127
6.5034 6.5757 -1.6127
2.8715 -2.7992 3.2347
4.5369 10.2076 0.0094
0.9050 0.8327 4.8568
0.9050 8.2411 1.6315
2.8715 4.6092 3.2535
8.3847 -2.1210 1.1340
13.7386 0.6532 -0.0255
11.7850 -1.3811 0.8912
4.4878 -4.2455 2.4481
8.9916 2.7279 -0.4880
0.7376 2.5173 -0.1226
5.0853 0.6724 0.7308
2.9206 4.2455 -0.7960
7.9496 0.7836 0.8260
8.3847 5.2874 -1.1340
5.8252 4.6805 -0.4880
4.3766 -1.3811 2.3529
6.6708 -2.5173 3.1215
10.4594 2.6260 1.5966
0.5413 0.7836 2.4181
3.0510 2.6260 1.6475
6.2215 2.9666 1.4995
5.0853 8.0808 -0.7308
1.0782 6.7552 -0.0255
-1.1869 2.9666 1.7447
8.5953 4.4418 1.4995
6.3302 0.6532 3.2696
2.3231 -0.6724 3.9750
1.1869 4.4418 1.7447
4.3573 4.7824 1.5966
6.8671 6.6248 0.8260
-3.0510 4.7824 1.6475
0.7376 9.9257 0.1226
3.0318 8.7894 0.8912
1.5832 2.7279 3.7322
-0.9763 2.1210 4.3782
-0.5413 6.6248 2.4181
4.4878 3.1629 4.0402
2.3231 6.7360 2.5133
6.6708 4.8911 3.3667
-1.5832 4.6805 3.7322
2.9206 11.6538 0.7960
-4.3766 8.7894 2.3529
-6.3302 6.7552 3.2696
-0.9763 9.5294 2.1101

Record 3
LiVF5 r²SCAN relaxed; raw total energy = -7.71 eV per atom; space-group type = P2_1/c (14); DFT formation energy = -3.1219 eV per atom
1.0
5.1053 0.0000 0.0000
0.0000 9.4339 0.0000
-2.0365 0.0000 7.1573
Li V F
4 4 20
Cartesian
-0.5677 0.1390 2.2590
-1.5859 4.5779 5.8376
4.6547 4.8559 1.3197
3.6365 9.2949 4.8984
1.9142 2.3296 0.9893
0.8959 2.3873 4.5679
2.1729 7.0466 2.5894
1.1547 7.1042 6.1681
0.5516 1.1710 0.9817
-0.4667 3.5459 4.5603
-0.2662 1.0781 3.8812
0.7521 3.6389 0.3026
-0.1503 5.8922 6.0435
0.8679 8.2586 2.4649
1.0645 5.7455 1.9522
0.0463 8.4053 5.5308
0.3607 1.8677 6.3610
1.3789 2.8493 2.7823
1.6899 6.5846 4.3750
2.7082 7.5662 0.7964
3.0226 1.0286 1.6265
2.0043 3.6883 5.2052
2.2009 1.1753 4.6925
3.2192 3.5417 1.1138
2.3168 5.7950 6.8548
3.3350 8.3558 3.2761
3.5355 5.8880 2.5970
2.5173 8.2628 6.1757

Record 4
LiVF5 r²SCAN relaxed; raw total energy = -7.69 eV per atom; space-group type = Pnma (62); DFT formation energy = -3.0994 eV per atom
1.0
7.4451 0.0000 0.0000
0.0000 7.2441 0.0000
0.0000 0.0000 6.4431
Li V F
4 4 20
Cartesian
0.9022 1.8110 1.3387
2.8204 5.4331 4.5602
4.6247 1.8110 1.8829
6.5430 5.4331 5.1044
0.8865 5.4331 1.6900
2.8360 1.8110 4.9116
4.6091 5.4331 1.5315
6.5586 1.8110 4.7531
0.5225 5.4331 6.3547
0.8976 0.0120 1.7511
0.8976 3.6101 1.7511
0.9910 1.8110 4.4443
1.2317 5.4331 3.4777
2.4908 1.8110 0.2561
2.7316 5.4331 1.2227
2.8249 3.6340 4.9726
2.8249 7.2322 4.9726
3.2000 1.8110 3.1331
4.2451 5.4331 3.3100
4.6202 0.0120 1.4705
4.6202 3.6101 1.4705
4.7136 1.8110 5.2204
4.9543 5.4331 6.1870
6.2134 1.8110 2.9654
6.4541 5.4331 1.9988
6.5475 3.6340 4.6920
6.5475 7.2322 4.6920
6.9226 1.8110 0.0884

Record 5
LiVF6 r²SCAN relaxed; raw total energy = -7.40 eV per atom; space-group type = P2_1/c (14); DFT formation energy = -2.9961 eV per atom
1.0
5.0333 0.0000 0.0000
0.0000 5.2290 0.0000
-5.0302 0.0000 7.2856
Li V F
2 2 12
Cartesian
0.0000 0.0000 0.0000
-2.5151 2.6145 3.6428
0.0015 0.0000 3.6428
2.5166 2.6145 0.0000
-0.4941 0.0947 1.9265
-3.0092 2.5199 5.5693
1.0673 3.5997 0.3602
-1.4478 4.2438 4.0030
1.5916 1.1238 0.3484
-0.9235 1.4907 3.9912
0.9265 3.7383 3.2944
-1.5886 4.1052 6.9372
1.4509 0.9852 3.2826
-1.0642 1.6293 6.9254
3.0123 2.7092 1.7163
0.4971 5.1344 5.3591

Record 6
LiVF6 r²SCAN relaxed; raw total energy = -7.39 eV per atom; space-group type = Fm-3m (225); DFT formation energy = -2.9895 eV per atom
1.0
0.0000 3.7680 3.7680
3.7680 0.0000 3.7680
3.7680 3.7680 0.0000
Li V F
1 1 6
Cartesian
0.0000 0.0000 0.0000
3.7680 3.7680 3.7680
3.7680 3.7680 1.9810
3.7680 1.9810 3.7680
5.5549 3.7680 3.7680
1.9810 3.7680 3.7680
3.7680 5.5549 3.7680
3.7680 3.7680 5.5549

Record 7
Li3VF6 r²SCAN relaxed; raw total energy = -7.23 eV per atom; space-group type = Pna2_1 (33); DFT formation energy = -3.2256 eV per atom
1.0
9.4556 0.0000 0.0000
0.0000 8.4217 0.0000
0.0000 0.0000 4.9883
Li V F
12 4 24
Cartesian
0.9620 0.4616 0.0000
1.1826 5.3759 2.5394
1.3896 3.7994 0.0209
3.3382 8.0103 2.5150
3.5452 1.1651 0.0452
3.7658 4.6724 2.4942
5.6898 3.7493 0.0000
5.9104 7.2566 2.5394
6.1174 0.4115 0.0209
8.0659 4.6223 2.5150
8.2729 3.0458 0.0452
8.4936 7.9602 2.4942
1.2230 2.1943 2.5077
3.5048 6.4051 0.0136
5.9508 2.0166 2.5077
8.2326 6.2275 0.0136
0.0763 3.5323 1.6049
0.1987 0.7704 1.7370
0.2120 2.1448 4.1662
2.1877 3.7210 3.2517
2.2874 2.2579 0.8981
2.3400 5.1298 0.9406
2.3878 0.9189 3.4347
2.4404 6.4688 3.3922
2.5401 7.9319 0.7575
4.5158 6.3556 1.6721
4.5291 4.9813 4.2312
4.6515 7.7431 4.0991
4.8041 0.6786 1.6049
4.9265 3.4404 1.7370
4.9398 2.0661 4.1662
6.9155 0.4898 3.2517
7.0152 1.9529 0.8981
7.0678 7.5028 0.9406
7.1155 3.2920 3.4347
7.1682 6.1638 3.3922
7.2679 4.7007 0.7575
9.2436 6.2770 1.6721
9.2568 7.6513 4.2312
9.3792 4.8894 4.0991

Record 8
LiVF5 r²SCAN relaxed; raw total energy = -7.70 eV per atom; space-group type = C2/c (15); DFT formation energy = -3.1175 eV per atom
1.0
4.0699 -3.1519 0.0000
4.0699 3.1519 0.0000
-3.4208 0.0000 6.5884
Li V F
2 2 10
Cartesian
1.5042 2.9681 4.9413
3.2147 -2.9681 1.6471
4.0699 0.0000 0.0000
2.3595 0.0000 3.2942
1.9887 1.7829 3.5634
-0.8956 0.2589 5.7097
1.0198 1.7829 6.3192
0.8148 -0.2589 2.4155
3.2147 0.5005 1.6471
1.5042 -0.5005 4.9413
3.9041 0.2589 4.1729
3.6992 -1.7829 0.2692
5.6145 -0.2589 0.8787
2.7302 -1.7829 3.0250